*i*
An optimized crystal structure of LiCrFeO4. Source: the Materials Project database, functional PBE+U. Values from VASP.

Symmetry = P4_322 (95)

Quantum ESPRESSO input file:
```
&SYSTEM
  ibrav = 0, nat = 28, ntyp = 4
/
ATOMIC_SPECIES
Li 6.94 Li.upf
Cr 52.00 Cr.upf
Fe 55.84 Fe.upf
O 16.00 O.upf
CELL_PARAMETERS angstrom
5.8777 0.0000 0.0000
0.0000 5.8777 0.0000
0.0000 0.0000 8.3803
ATOMIC_POSITIONS crystal
Li 0.5000 0.7315 0.0000
Li 0.5000 0.2685 0.5000
Li 0.7315 0.5000 0.2500
Li 0.2685 0.5000 0.7500
Cr 0.7351 0.0000 0.2500
Cr 0.0000 0.7351 0.0000
Cr 0.0000 0.2649 0.5000
Cr 0.2649 0.0000 0.7500
Fe 0.7559 0.7559 0.6250
Fe 0.7559 0.2441 0.8750
Fe 0.2441 0.7559 0.3750
Fe 0.2441 0.2441 0.1250
O 0.5163 0.7681 0.2567
O 0.5163 0.2319 0.2433
O 0.7681 0.5163 0.9933
O 0.7681 0.4837 0.5067
O 0.7665 0.9810 0.0125
O 0.7665 0.0190 0.4875
O 0.9810 0.7665 0.2375
O 0.9810 0.2335 0.2625
O 0.0190 0.7665 0.7625
O 0.0190 0.2335 0.7375
O 0.2335 0.0190 0.5125
O 0.2335 0.9810 0.9875
O 0.2319 0.5163 0.0067
O 0.2319 0.4837 0.4933
O 0.4837 0.7681 0.7433
O 0.4837 0.2319 0.7567
```

*ii*
An optimized crystal structure of LiCrFeO4. Source: the Materials Project database, functional PBE+U. Values from VASP.

Symmetry = Imma (74)

Quantum ESPRESSO input file:
```
&SYSTEM
  ibrav = 0, nat = 14, ntyp = 4
/
ATOMIC_SPECIES
Li 6.94 Li.upf
Cr 52.00 Cr.upf
Fe 55.84 Fe.upf
O 16.00 O.upf
CELL_PARAMETERS angstrom
-2.9504 3.0278 4.1856
2.9504 -3.0278 4.1856
2.9504 3.0278 -4.1856
ATOMIC_POSITIONS crystal
Li 0.3760 0.1260 0.2500
Li 0.6240 0.8740 0.7500
Cr 0.0000 0.5000 0.0000
Cr 0.0000 0.0000 0.5000
Fe 0.0000 0.5000 0.5000
Fe 0.5000 0.5000 0.0000
O 0.7916 0.2573 0.5342
O 0.2302 0.7105 0.9803
O 0.2302 0.2499 0.5197
O 0.2231 0.2573 0.9658
O 0.7769 0.7427 0.0342
O 0.7698 0.2895 0.0197
O 0.7698 0.7501 0.4803
O 0.2084 0.7427 0.4658
```

Energetically preferred structure: *ii* | next structure: +31 meV per atom

*i*
An optimized crystal structure of NaMgNiO2. Source: the Materials Project database, functional PBE+U. Values from VASP.

Symmetry = C2/m (12)

Quantum ESPRESSO input file:
```
&SYSTEM
  ibrav = 0, nat = 5, ntyp = 4
/
ATOMIC_SPECIES
Na 22.99 Na.upf
Mg 24.30 Mg.upf
Ni 58.69 Ni.upf
O 16.00 O.upf
CELL_PARAMETERS angstrom
0.0561 5.8451 3.1835
2.8696 4.2895 0.8221
0.7400 6.3517 -1.8470
ATOMIC_POSITIONS crystal
Na 0.5000 0.5000 0.5000
Mg 0.0000 0.5000 0.0000
Ni 0.0000 0.0000 0.0000
O 0.2153 0.3097 0.2153
O 0.7847 0.6903 0.7847
```

*ii*
An optimized crystal structure of NaMgNiO2. Source: the Materials Project database, functional PBE+U. Values from VASP.

Symmetry = P1 (1)

Quantum ESPRESSO input file:
```
&SYSTEM
  ibrav = 0, nat = 5, ntyp = 4
/
ATOMIC_SPECIES
Na 22.99 Na.upf
Mg 24.30 Mg.upf
Ni 58.69 Ni.upf
O 16.00 O.upf
CELL_PARAMETERS angstrom
3.0517 -0.0090 0.8497
1.5181 2.9523 0.4201
-0.1621 -0.6706 6.9112
ATOMIC_POSITIONS crystal
Na 0.5265 0.5368 0.4075
Mg 0.9722 0.2677 0.7670
Ni 0.0546 0.8073 0.0933
O 0.3341 0.2009 0.1470
O 0.7167 0.8956 0.6566
```

Energetically preferred structure: *ii* | next structure: +639 meV per atom

*i*
An optimized crystal structure of CoTeO4. Source: the Materials Project database, functional PBE+U. Values from VASP.

Quantum ESPRESSO input file:
```
&SYSTEM
  ibrav = 0, nat = 24, ntyp = 3
/
ATOMIC_SPECIES
Co 58.93 Co.upf
Te 127.60 Te.upf
O 16.00 O.upf
CELL_PARAMETERS angstrom
0.0000 4.7366 0.0000
10.4110 0.0000 -1.3090
-0.0437 0.0000 -5.6482
ATOMIC_POSITIONS crystal
Co 0.5003 0.6252 0.1244
Co 0.9997 0.1252 0.1244
Co 0.5003 0.1252 0.6244
Co 0.9997 0.6252 0.6244
Te 0.0000 0.3750 0.3752
Te 0.0000 0.8750 0.8752
Te 0.5000 0.3750 0.8752
Te 0.5000 0.8750 0.3752
O 0.3200 0.0381 0.3507
O 0.3200 0.5381 0.8507
O 0.1800 0.0381 0.8507
O 0.1800 0.5381 0.3507
O 0.8207 0.2117 0.3995
O 0.8207 0.7117 0.8994
O 0.6793 0.2117 0.8994
O 0.6793 0.7117 0.3995
O 0.7830 0.4490 0.6308
O 0.7829 0.9490 0.1308
O 0.7171 0.4490 0.1308
O 0.7170 0.9490 0.6308
O 0.2834 0.3010 0.6194
O 0.2834 0.8010 0.1194
O 0.2166 0.3010 0.1194
O 0.2166 0.8010 0.6194
```

*ii*
An optimized crystal structure of CoTeO4. Source: the Materials Project database, functional PBE+U. Values from VASP.

Symmetry = Imma (74)

Quantum ESPRESSO input file:
```
&SYSTEM
  ibrav = 0, nat = 12, ntyp = 3
/
ATOMIC_SPECIES
Co 58.93 Co.upf
Te 127.60 Te.upf
O 16.00 O.upf
CELL_PARAMETERS angstrom
-3.0287 3.0645 4.4943
3.0287 -3.0645 4.4943
3.0287 3.0645 -4.4943
ATOMIC_POSITIONS crystal
Co 0.0000 0.5000 0.0000
Co 0.0000 0.0000 0.5000
Te 0.5000 0.0000 0.5000
Te 0.0000 0.0000 0.0000
O 0.1881 0.2125 0.9756
O 0.7510 0.7795 0.5285
O 0.7369 0.2125 0.5244
O 0.7510 0.2225 0.9715
O 0.2490 0.7775 0.0285
O 0.2631 0.7875 0.4756
O 0.2490 0.2205 0.4715
O 0.8119 0.7875 0.0244
```

Energetically preferred structure: *i* | next structure: +130 meV per atom